# 1
A plane-wave DFT calculation with r²SCAN was carried out for crystalline GaCuPt2 at its relaxed geometry.

Cell lengths 3.9730, 3.9744, 3.5431 Å; angles 90.00, 90.00, 90.00 degrees
Atoms (fractional coordinates):
Cu: 0.0000 0.0000 0.0000
Ga: 0.5000 0.5000 0.0000
Pt: 0.0000 0.5000 0.5000
Pt: 0.5000 0.0000 0.5000

Results
space-group type = P4/mmm, No. 123
energy = -127.35 eV/cell

---

# 2
A plane-wave DFT calculation with r²SCAN was carried out for crystalline MnPS3 at its relaxed geometry.

Cell lengths 6.0720, 6.0720, 7.0529 Å; angles 98.16, 98.16, 119.95 degrees
Atoms (fractional coordinates):
P: 0.0538 0.0538 0.1622
P: 0.9462 0.9462 0.8378
S: 0.0792 0.4019 0.2391
S: 0.2436 0.2436 0.7609
S: 0.5981 0.9208 0.7609
S: 0.9208 0.5981 0.7609
S: 0.7564 0.7564 0.2391
S: 0.4019 0.0792 0.2391
Mn: 0.6668 0.3332 0.0000
Mn: 0.3332 0.6668 0.0000

Results
space-group type = C2/m, No. 12
energy = -102.39 eV/cell

---

# 3
A plane-wave DFT calculation with r²SCAN was carried out for crystalline GdBO3 at its relaxed geometry.

Cell lengths 6.6303, 6.6303, 9.6819 Å; angles 70.33, 70.33, 60.09 degrees
Atoms (fractional coordinates):
O: 0.9650 0.7835 0.6056
O: 0.2166 0.0350 0.8945
O: 0.4789 0.6162 0.1101
O: 0.5211 0.3838 0.8899
O: 0.0350 0.2165 0.3945
O: 0.8694 0.1306 0.2500
O: 0.9165 0.2961 0.7520
O: 0.1299 0.3116 0.1131
O: 0.3115 0.1299 0.6131
O: 0.2962 0.9164 0.2520
O: 0.0835 0.7039 0.2480
O: 0.7834 0.9650 0.1055
O: 0.8701 0.6884 0.8870
O: 0.6885 0.8701 0.3869
O: 0.7038 0.0836 0.7480
O: 0.3838 0.5212 0.3899
O: 0.1306 0.8694 0.7500
O: 0.6162 0.4789 0.6101
B: 0.0825 0.1548 0.2531
B: 0.9175 0.8452 0.7469
B: 0.3213 0.6787 0.2500
B: 0.8451 0.9175 0.2470
B: 0.1549 0.0825 0.7530
B: 0.6787 0.3213 0.7500
Gd: 0.6573 0.1711 0.4993
Gd: 0.0000 0.5000 0.5000
Gd: 0.8289 0.3427 0.0007
Gd: 0.3427 0.8289 0.5007
Gd: 0.1711 0.6573 0.9993
Gd: 0.5000 0.0000 0.0000

Results
space-group type = C2/c, No. 15
energy = -511.86 eV/cell

---

# 4
A plane-wave DFT calculation with r²SCAN was carried out for crystalline Cs3Mo2Cl9 at its relaxed geometry.

Cell lengths 7.3876, 7.3876, 17.9413 Å; angles 90.00, 90.00, 120.00 degrees
Atoms (fractional coordinates):
Cl: 0.1789 0.8211 0.9037
Cl: 0.4950 0.5050 0.7500
Cl: 0.8211 0.1789 0.4037
Cl: 0.5050 0.4950 0.2500
Cl: 0.8211 0.1789 0.0963
Cl: 0.8211 0.6421 0.0963
Cl: 0.1789 0.8211 0.5963
Cl: 0.9900 0.4950 0.2500
Cl: 0.3579 0.1789 0.0963
Cl: 0.3579 0.1789 0.4037
Cl: 0.1789 0.3578 0.9037
Cl: 0.5050 0.0100 0.2500
Cl: 0.0100 0.5050 0.7500
Cl: 0.6422 0.8211 0.9037
Cl: 0.6421 0.8211 0.5963
Cl: 0.1789 0.3579 0.5963
Cl: 0.8211 0.6421 0.4037
Cl: 0.4950 0.9900 0.7500
Mo: 0.3333 0.6667 0.8270
Mo: 0.6667 0.3333 0.1730
Mo: 0.6667 0.3333 0.3271
Mo: 0.3333 0.6667 0.6729
Cs: 0.3333 0.6667 0.4281
Cs: 0.0000 0.0000 0.7500
Cs: 0.0000 0.0000 0.2500
Cs: 0.3333 0.6667 0.0719
Cs: 0.6667 0.3333 0.5719
Cs: 0.6667 0.3333 0.9281

Results
space-group type = P6_3/mmc, No. 194
energy = -412.08 eV/cell

---

Question: The highest energy belongs to which entry?
Answer: MnPS3

---

Question: Among the records above, which one has the highest energy?
Answer: MnPS3